No. 1
{"formula": "Li9Mn2Co5O16", "functional": "PBE with a Hubbard U", "state": "relaxed", "sg": "C2", "relative_energy_kj_per_mol_fu": 70, "ef_mev_per_atom": -1841.4, "lattice": [[4.506, -0.741, -6.218], [5.694, 1.214, 5.062], [2.144, -4.674, 0.584]], "species": ["O", "O", "O", "O", "O", "O", "O", "O", "O", "O", "O", "O", "O", "O", "O", "O", "Co", "Co", "Co", "Co", "Co", "Li", "Li", "Li", "Li", "Li", "Li", "Li", "Li", "Li", "Mn", "Mn"], "frac_coords": [[0.870, 0.383, 0.785], [0.764, 0.508, 0.231], [0.997, 0.738, 0.762], [0.383, 0.382, 0.224], [0.492, 0.236, 0.769], [0.262, 0.003, 0.238], [0.618, 0.617, 0.776], [0.123, 0.626, 0.207], [0.887, 0.869, 0.224], [0.131, 0.113, 0.776], [0.501, 0.763, 0.236], [0.732, 0.987, 0.767], [0.617, 0.130, 0.215], [0.237, 0.499, 0.764], [0.013, 0.268, 0.233], [0.374, 0.877, 0.793], [0.377, 0.623, 0.000], [0.124, 0.876, 0.000], [0.756, 0.760, 0.002], [0.624, 0.376, 0.000], [0.240, 0.244, 0.998], [0.753, 0.247, 0.500], [0.248, 0.752, 0.500], [0.875, 0.627, 0.501], [0.876, 0.124, 0.000], [0.500, 0.500, 0.500], [0.000, 0.000, 0.500], [0.373, 0.125, 0.499], [0.635, 0.880, 0.492], [0.120, 0.365, 0.508], [0.500, 0.004, 0.006], [0.996, 0.500, 0.994]]}


No. 2
{"formula": "Li24MnCr11O36", "functional": "PBE with a Hubbard U", "state": "relaxed", "sg": "P1", "relative_energy_kj_per_mol_fu": 21, "ef_mev_per_atom": -2227.4, "lattice": [[-0.399, -1.846, -4.696], [-9.448, 0.185, 2.420], [-0.739, 13.031, -2.363]], "species": ["Cr", "Cr", "Cr", "Cr", "Cr", "Cr", "Cr", "Cr", "Cr", "Cr", "Cr", "Li", "Li", "Li", "Li", "Li", "Li", "Li", "Li", "Li", "Li", "Li", "Li", "Li", "Li", "Li", "Li", "Li", "Li", "Li", "Li", "Li", "Li", "Li", "Li", "O", "O", "O", "O", "O", "O", "O", "O", "O", "O", "O", "O", "O", "O", "O", "O", "O", "O", "O", "O", "O", "O", "O", "O", "O", "O", "O", "O", "O", "O", "O", "O", "O", "O", "O", "O", "Mn"], "frac_coords": [[0.524, 0.751, 0.054], [0.483, 0.249, 0.946], [0.299, 0.752, 0.611], [0.690, 0.253, 0.386], [0.641, 0.749, 0.281], [0.037, 0.248, 0.057], [0.139, 0.253, 0.282], [0.361, 0.250, 0.723], [0.193, 0.749, 0.385], [0.812, 0.250, 0.612], [0.856, 0.751, 0.723], [0.886, 0.500, 0.273], [0.053, 0.000, 0.608], [0.588, 0.251, 0.167], [0.722, 0.000, 0.942], [0.000, 0.501, 0.502], [0.666, 0.500, 0.832], [0.080, 0.749, 0.165], [0.415, 0.752, 0.834], [0.503, 0.998, 0.501], [0.250, 0.251, 0.501], [0.220, 0.500, 0.940], [0.280, 0.000, 0.059], [0.834, 0.000, 0.165], [0.548, 0.500, 0.607], [0.452, 0.501, 0.395], [0.614, 0.002, 0.726], [0.332, 0.501, 0.166], [0.164, 0.001, 0.833], [0.947, 0.001, 0.394], [0.780, 0.501, 0.060], [0.110, 0.499, 0.727], [0.389, 0.001, 0.275], [0.749, 0.749, 0.501], [0.921, 0.250, 0.834], [0.162, 0.638, 0.047], [0.553, 0.863, 0.379], [0.811, 0.865, 0.834], [0.981, 0.365, 0.169], [0.620, 0.639, 0.954], [0.834, 0.361, 0.955], [0.380, 0.362, 0.046], [0.325, 0.138, 0.379], [0.885, 0.863, 0.048], [0.353, 0.636, 0.499], [0.311, 0.365, 0.832], [0.672, 0.137, 0.049], [0.008, 0.863, 0.289], [0.208, 0.863, 0.715], [0.054, 0.364, 0.380], [0.664, 0.863, 0.619], [0.501, 0.639, 0.713], [0.023, 0.636, 0.834], [0.187, 0.137, 0.167], [0.645, 0.365, 0.499], [0.148, 0.864, 0.501], [0.781, 0.138, 0.289], [0.713, 0.362, 0.713], [0.687, 0.635, 0.167], [0.451, 0.139, 0.619], [0.005, 0.138, 0.716], [0.508, 0.364, 0.288], [0.482, 0.864, 0.166], [0.331, 0.861, 0.952], [0.851, 0.137, 0.501], [0.825, 0.637, 0.379], [0.162, 0.362, 0.620], [0.520, 0.135, 0.836], [0.124, 0.138, 0.952], [0.956, 0.638, 0.620], [0.280, 0.637, 0.288], [0.971, 0.750, 0.945]]}


No. 3
{"formula": "Li7Mn5O12", "functional": "PBE with a Hubbard U", "state": "relaxed", "sg": "C2/m", "relative_energy_kj_per_mol_fu": 134, "ef_mev_per_atom": -2099.0, "lattice": [[-0.851, 2.273, 1.739], [-5.861, -3.368, 4.098], [3.587, -4.876, 8.127]], "species": ["Mn", "Mn", "Mn", "Mn", "Mn", "Li", "Li", "Li", "Li", "Li", "Li", "Li", "O", "O", "O", "O", "O", "O", "O", "O", "O", "O", "O", "O"], "frac_coords": [[0.333, 0.333, 0.333], [0.673, 0.655, 0.672], [0.002, 0.996, 0.499], [0.994, 0.012, 0.995], [0.664, 0.671, 0.168], [0.502, 0.996, 0.249], [0.175, 0.650, 0.914], [0.829, 0.341, 0.071], [0.333, 0.333, 0.833], [0.492, 0.017, 0.753], [0.165, 0.670, 0.417], [0.837, 0.325, 0.596], [0.090, 0.821, 0.695], [0.925, 0.149, 0.804], [0.920, 0.160, 0.303], [0.741, 0.517, 0.862], [0.414, 0.173, 0.532], [0.427, 0.147, 0.035], [0.577, 0.846, 0.972], [0.081, 0.838, 0.197], [0.253, 0.494, 0.135], [0.747, 0.507, 0.363], [0.240, 0.520, 0.631], [0.586, 0.828, 0.470]]}


No. 4
{"formula": "BaFe2P4O14", "functional": "PBE with a Hubbard U", "state": "relaxed", "sg": "C2/c", "relative_energy_kj_per_mol_fu": 26, "ef_mev_per_atom": -2627.5, "lattice": [[-4.427, -0.361, 6.111], [5.930, -1.886, 4.284], [1.993, 8.806, 3.946]], "species": ["Ba", "Ba", "O", "O", "O", "O", "O", "O", "O", "O", "O", "O", "O", "O", "O", "O", "O", "O", "O", "O", "O", "O", "O", "O", "O", "O", "O", "O", "O", "O", "P", "P", "P", "P", "P", "P", "P", "P", "Fe", "Fe", "Fe", "Fe"], "frac_coords": [[0.000, 0.500, 0.500], [0.500, 0.000, 0.000], [0.899, 0.231, 0.095], [0.124, 0.238, 0.286], [0.866, 0.068, 0.893], [0.134, 0.932, 0.107], [0.028, 0.375, 0.844], [0.343, 0.353, 0.913], [0.238, 0.124, 0.786], [0.453, 0.290, 0.161], [0.876, 0.762, 0.714], [0.375, 0.028, 0.344], [0.547, 0.710, 0.839], [0.932, 0.134, 0.607], [0.762, 0.876, 0.214], [0.710, 0.547, 0.339], [0.699, 0.350, 0.919], [0.625, 0.972, 0.656], [0.972, 0.625, 0.156], [0.290, 0.453, 0.661], [0.231, 0.899, 0.595], [0.101, 0.769, 0.905], [0.068, 0.866, 0.393], [0.650, 0.301, 0.581], [0.350, 0.699, 0.419], [0.301, 0.650, 0.081], [0.353, 0.343, 0.413], [0.769, 0.101, 0.405], [0.647, 0.657, 0.587], [0.657, 0.647, 0.087], [0.750, 0.129, 0.556], [0.871, 0.250, 0.944], [0.762, 0.676, 0.202], [0.129, 0.750, 0.056], [0.676, 0.762, 0.702], [0.238, 0.324, 0.798], [0.324, 0.238, 0.298], [0.250, 0.871, 0.444], [0.953, 0.047, 0.250], [0.500, 0.500, 0.000], [0.047, 0.953, 0.750], [0.500, 0.500, 0.500]]}


No. 5
{"formula": "Li7Co5O12", "functional": "PBE with a Hubbard U", "state": "relaxed", "sg": "P1", "relative_energy_kj_per_mol_fu": 142, "ef_mev_per_atom": -1701.3, "lattice": [[-6.430, 0.744, 0.335], [0.339, -3.554, -9.361], [-1.251, -5.623, 2.993]], "species": ["Co", "Co", "Co", "Co", "Co", "Co", "Co", "Co", "Co", "Co", "Li", "Li", "Li", "Li", "Li", "Li", "Li", "Li", "Li", "Li", "Li", "Li", "Li", "Li", "O", "O", "O", "O", "O", "O", "O", "O", "O", "O", "O", "O", "O", "O", "O", "O", "O", "O", "O", "O", "O", "O", "O", "O"], "frac_coords": [[0.519, 0.749, 0.489], [0.161, 0.749, 0.841], [0.673, 0.998, 0.330], [0.508, 0.254, 0.483], [0.336, 0.002, 0.667], [0.331, 0.502, 0.668], [0.998, 0.503, 0.003], [0.151, 0.253, 0.840], [0.668, 0.499, 0.332], [0.996, 0.001, 0.005], [0.835, 0.254, 0.169], [0.833, 0.746, 0.165], [0.917, 0.376, 0.573], [0.591, 0.870, 0.923], [0.421, 0.129, 0.085], [0.241, 0.379, 0.254], [0.751, 0.126, 0.749], [0.248, 0.874, 0.247], [0.072, 0.625, 0.414], [0.919, 0.876, 0.583], [0.071, 0.128, 0.410], [0.752, 0.618, 0.759], [0.425, 0.622, 0.080], [0.593, 0.375, 0.926], [0.606, 0.442, 0.615], [0.947, 0.447, 0.279], [0.059, 0.569, 0.728], [0.941, 0.945, 0.280], [0.547, 0.826, 0.224], [0.773, 0.678, 0.462], [0.280, 0.444, 0.937], [0.400, 0.058, 0.377], [0.123, 0.683, 0.097], [0.541, 0.319, 0.223], [0.774, 0.174, 0.450], [0.265, 0.930, 0.953], [0.905, 0.820, 0.878], [0.385, 0.559, 0.397], [0.441, 0.184, 0.776], [0.222, 0.812, 0.567], [0.894, 0.322, 0.876], [0.728, 0.050, 0.050], [0.221, 0.328, 0.555], [0.719, 0.555, 0.057], [0.045, 0.061, 0.729], [0.429, 0.681, 0.783], [0.622, 0.937, 0.605], [0.121, 0.169, 0.107]]}


| no. | final energy (Ha/atom) |
| --- | --- |
| 1 | -0.214 |
| 2 | -0.230 |
| 3 | -0.233 |
| 4 | -0.264 |
| 5 | -0.203 |